Ce2P2RuO: optimized geometry, PBE.

Cell lengths 2.9340, 2.9340, 14.1553 Å; angles 90.00, 90.00, 90.00 degrees
Fractional positions:
Ce1 0.0000 0.0000 0.1462
Ce2 0.0000 0.0000 0.8538
P1 0.0000 0.0000 0.3429
P2 0.0000 0.0000 0.6571
Ru1 0.0000 0.0000 0.5000
O1 0.0000 0.0000 0.0000

**Final energy**: -6.33 eV/atom
**Formation energy**: -291 meV/atom

***

CeTl2P5O15: optimized geometry, PBE.

Cell lengths 7.3824, 7.3824, 13.5035 Å; angles 90.51, 90.51, 107.81 degrees
Fractional positions:
Ce1 0.0953 0.9047 0.5000
Ce2 0.9047 0.0953 0.0000
Tl1 0.2112 0.4483 0.6972
Tl2 0.2845 0.6950 0.9936
Tl3 0.4483 0.2112 0.1972
Tl4 0.6950 0.2845 0.4936
P1 0.0066 0.3995 0.2358
P2 0.0291 0.8135 0.2193
P3 0.2254 0.4393 0.4214
P4 0.3995 0.0066 0.7358
P5 0.4393 0.2254 0.9214
P6 0.5510 0.7908 0.4099
P7 0.6186 0.7685 0.1919
P8 0.7685 0.6186 0.6919
P9 0.7908 0.5510 0.9099
P10 0.8135 0.0291 0.7193
O1 0.0220 0.2923 0.1428
O2 0.0746 0.9160 0.1222
O3 0.0875 0.6224 0.2074
O4 0.1107 0.5589 0.4602
O5 0.1159 0.9175 0.3129
O6 0.1808 0.3860 0.3059
O7 0.2202 0.2561 0.4730
O8 0.2561 0.2202 0.9730
O9 0.2923 0.0220 0.6428
O10 0.3510 0.8251 0.7913
O11 0.3860 0.1808 0.8059
O12 0.4336 0.8976 0.4606
O13 0.4495 0.5618 0.4175
O14 0.4847 0.5877 0.1515
O15 0.5359 0.8318 0.2932
O16 0.5589 0.1107 0.9602
O17 0.5618 0.4495 0.9175
O18 0.5877 0.4847 0.6515
O19 0.6224 0.0875 0.7074
O20 0.6702 0.9423 0.1272
O21 0.7269 0.8041 0.7332
O22 0.7542 0.8261 0.4415
O23 0.8041 0.7269 0.2332
O24 0.8251 0.3510 0.2913
O25 0.8261 0.7542 0.9415
O26 0.8318 0.5359 0.7932
O27 0.8976 0.4336 0.9606
O28 0.9160 0.0746 0.6222
O29 0.9175 0.1159 0.8129
O30 0.9423 0.6702 0.6272

**Final energy**: -7.08 eV/atom
**Formation energy**: -2663 meV/atom

***

CeTlP4O12: optimized geometry, PBE.

Cell lengths 10.6685, 9.2004, 13.1369 Å; angles 90.00, 125.17, 90.00 degrees
Fractional positions:
Ce1 0.1845 0.2265 0.1842
Ce2 0.1845 0.2735 0.6842
Ce3 0.8155 0.7265 0.3158
Ce4 0.8155 0.7735 0.8158
Tl1 0.2539 0.5647 0.9604
Tl2 0.2539 0.9353 0.4604
Tl3 0.7461 0.0647 0.5396
Tl4 0.7461 0.4353 0.0396
P1 0.1155 0.5965 0.2604
P2 0.1155 0.9035 0.7604
P3 0.1822 0.6739 0.6414
P4 0.1822 0.8261 0.1414
P5 0.3014 0.1028 0.9776
P6 0.3014 0.3972 0.4776
P7 0.4743 0.5245 0.7237
P8 0.4743 0.9755 0.2237
P9 0.5257 0.0245 0.7763
P10 0.5257 0.4755 0.2763
P11 0.6986 0.6028 0.5224
P12 0.6986 0.8972 0.0224
P13 0.8178 0.1739 0.8586
P14 0.8178 0.3261 0.3586
P15 0.8845 0.0965 0.2396
P16 0.8845 0.4035 0.7396
O1 0.0125 0.1810 0.2517
O2 0.0125 0.3190 0.7517
O3 0.0735 0.0321 0.6753
O4 0.0735 0.4679 0.1753
O5 0.0812 0.7445 0.5157
O6 0.0812 0.7555 0.0157
O7 0.1351 0.5355 0.6712
O8 0.1351 0.9645 0.1712
O9 0.2003 0.1583 0.0142
O10 0.2003 0.3417 0.5142
O11 0.2256 0.7075 0.2489
O12 0.2256 0.7925 0.7489
O13 0.2356 0.5505 0.4035
O14 0.2356 0.9495 0.9035
O15 0.3396 0.2027 0.9087
O16 0.3396 0.2973 0.4087
O17 0.3494 0.6559 0.6668
O18 0.3494 0.8441 0.1668
O19 0.3680 0.0890 0.6954
O20 0.3680 0.4110 0.1954
O21 0.4315 0.0875 0.2824
O22 0.4315 0.4125 0.7824
O23 0.4575 0.0405 0.1015
O24 0.4575 0.4595 0.6015
O25 0.5425 0.5405 0.3985
O26 0.5425 0.9595 0.8985
O27 0.5685 0.5875 0.2176
O28 0.5685 0.9125 0.7176
O29 0.6320 0.5890 0.8046
O30 0.6320 0.9110 0.3046
O31 0.6506 0.1559 0.8332
O32 0.6506 0.3441 0.3332
O33 0.6604 0.7027 0.5913
O34 0.6604 0.7973 0.0913
O35 0.7644 0.0505 0.0965
O36 0.7644 0.4495 0.5965
O37 0.7744 0.2075 0.2511
O38 0.7744 0.2925 0.7511
O39 0.7997 0.6583 0.4858
O40 0.7997 0.8417 0.9858
O41 0.8649 0.0355 0.8288
O42 0.8649 0.4645 0.3288
O43 0.9188 0.2445 0.9843
O44 0.9188 0.2555 0.4843
O45 0.9265 0.5321 0.8247
O46 0.9265 0.9679 0.3247
O47 0.9875 0.6810 0.2483
O48 0.9875 0.8190 0.7483

**Final energy**: -7.29 eV/atom
**Formation energy**: -2781 meV/atom

***

Ce2ZnP2O: optimized geometry, PBE.

Cell lengths 3.1939, 3.1939, 14.1026 Å; angles 90.00, 90.00, 90.00 degrees
Fractional positions:
Ce1 0.0000 0.0000 0.1465
Ce2 0.0000 0.0000 0.8535
Zn1 0.0000 0.0000 0.5000
P1 0.0000 0.0000 0.3419
P2 0.0000 0.0000 0.6581
O1 0.0000 0.0000 0.0000

**Final energy**: -5.13 eV/atom
**Formation energy**: -424 meV/atom

***

CeZnPO: optimized geometry, PBE.

Cell lengths 10.5853, 10.5853, 10.5853 Å; angles 21.70, 21.70, 21.70 degrees
Fractional positions:
Ce1 0.1190 0.1190 0.1190
Ce2 0.8810 0.8810 0.8810
Zn1 0.3039 0.3039 0.3039
Zn2 0.6961 0.6961 0.6961
P1 0.3863 0.3863 0.3863
P2 0.6137 0.6137 0.6137
O1 0.1950 0.1950 0.1950
O2 0.8050 0.8050 0.8050

**Final energy**: -6.21 eV/atom
**Formation energy**: -1992 meV/atom

***

CeZr6P9O36: optimized geometry, PBE.

Cell lengths 8.9626, 8.9626, 23.1876 Å; angles 90.00, 90.00, 120.00 degrees
Fractional positions:
Ce1 0.0000 0.0000 0.0000
Ce2 0.0000 0.0000 0.5000
Zr1 0.0000 0.0000 0.1503
Zr2 0.0000 0.0000 0.3497
Zr3 0.0000 0.0000 0.6503
Zr4 0.0000 0.0000 0.8497
Zr5 0.3333 0.6667 0.0284
Zr6 0.3333 0.6667 0.3123
Zr7 0.3333 0.6667 0.5284
Zr8 0.3333 0.6667 0.8123
Zr9 0.6667 0.3333 0.1877
Zr10 0.6667 0.3333 0.4716
Zr11 0.6667 0.3333 0.6877
Zr12 0.6667 0.3333 0.9716
P1 0.0000 0.2910 0.2500
P2 0.0000 0.7090 0.7500
P3 0.0534 0.3762 0.9203
P4 0.0534 0.6772 0.4203
P5 0.2910 0.0000 0.2500
P6 0.2910 0.2910 0.7500
P7 0.3228 0.3762 0.4203
P8 0.3228 0.9466 0.9203
P9 0.3762 0.0534 0.5797
P10 0.3762 0.3228 0.0797
P11 0.6238 0.6772 0.9203
P12 0.6238 0.9466 0.4203
P13 0.6772 0.0534 0.0797
P14 0.6772 0.6238 0.5797
P15 0.7090 0.0000 0.7500
P16 0.7090 0.7090 0.2500
P17 0.9466 0.3228 0.5797
P18 0.9466 0.6238 0.0797
O1 0.0257 0.1868 0.9182
O2 0.0257 0.8389 0.4182
O3 0.0331 0.2052 0.1967
O4 0.0331 0.8279 0.6967
O5 0.1252 0.4856 0.5760
O6 0.1252 0.6396 0.0760
O7 0.1459 0.4727 0.8656
O8 0.1459 0.6732 0.3656
O9 0.1586 0.4665 0.2607
O10 0.1586 0.6921 0.7607
O11 0.1599 0.4584 0.9751
O12 0.1599 0.7015 0.4751
O13 0.1611 0.1868 0.4182
O14 0.1611 0.9743 0.9182
O15 0.1721 0.2052 0.6967
O16 0.1721 0.9669 0.1967
O17 0.1868 0.0257 0.5818
O18 0.1868 0.1611 0.0818
O19 0.2052 0.0331 0.3033
O20 0.2052 0.1721 0.8033
O21 0.2985 0.4584 0.4751
O22 0.2985 0.8401 0.9751
O23 0.3079 0.4665 0.7607
O24 0.3079 0.8414 0.2607
O25 0.3268 0.4727 0.3656
O26 0.3268 0.8541 0.8656
O27 0.3604 0.4856 0.0760
O28 0.3604 0.8748 0.5760
O29 0.4584 0.1599 0.5249
O30 0.4584 0.2985 0.0249
O31 0.4665 0.1586 0.2393
O32 0.4665 0.3079 0.7393
O33 0.4727 0.1459 0.6344
O34 0.4727 0.3268 0.1344
O35 0.4856 0.1252 0.9240
O36 0.4856 0.3604 0.4240
O37 0.5144 0.6396 0.5760
O38 0.5144 0.8748 0.0760
O39 0.5273 0.6732 0.8656
O40 0.5273 0.8541 0.3656
O41 0.5335 0.6921 0.2607
O42 0.5335 0.8414 0.7607
O43 0.5416 0.7015 0.9751
O44 0.5416 0.8401 0.4751
O45 0.6396 0.1252 0.4240
O46 0.6396 0.5144 0.9240
O47 0.6732 0.1459 0.1344
O48 0.6732 0.5273 0.6344
O49 0.6921 0.1586 0.7393
O50 0.6921 0.5335 0.2393
O51 0.7015 0.1599 0.0249
O52 0.7015 0.5416 0.5249
O53 0.7948 0.8279 0.1967
O54 0.7948 0.9669 0.6967
O55 0.8132 0.8389 0.9182
O56 0.8132 0.9743 0.4182
O57 0.8279 0.0331 0.8033
O58 0.8279 0.7948 0.3033
O59 0.8389 0.0257 0.0818
O60 0.8389 0.8132 0.5818
O61 0.8401 0.2985 0.5249
O62 0.8401 0.5416 0.0249
O63 0.8414 0.3079 0.2393
O64 0.8414 0.5335 0.7393
O65 0.8541 0.3268 0.6344
O66 0.8541 0.5273 0.1344
O67 0.8748 0.3604 0.9240
O68 0.8748 0.5144 0.4240
O69 0.9669 0.1721 0.3033
O70 0.9669 0.7948 0.8033
O71 0.9743 0.1611 0.5818
O72 0.9743 0.8132 0.0818

**Final energy**: -8.22 eV/atom
**Formation energy**: -3237 meV/atom

***

CePaO4: optimized geometry, PBE.

Cell lengths 3.8576, 3.8576, 5.5286 Å; angles 90.00, 90.00, 90.00 degrees
Fractional positions:
Ce1 0.0000 0.0000 0.0000
Pa1 0.5000 0.5000 0.5000
O1 0.0000 0.5000 0.2645
O2 0.0000 0.5000 0.7355
O3 0.5000 0.0000 0.2645
O4 0.5000 0.0000 0.7355

**Final energy**: -9.53 eV/atom
**Formation energy**: -4114 meV/atom

***

CePaO4: optimized geometry, PBE.

Cell lengths 6.6978, 6.6978, 6.6978 Å; angles 131.50, 131.50, 71.02 degrees
Fractional positions:
Ce1 0.3750 0.6250 0.7500
Ce2 0.6250 0.3750 0.2500
Pa1 0.1250 0.8750 0.2500
Pa2 0.8750 0.1250 0.7500
O1 0.0000 0.2366 0.2366
O2 0.0000 0.7634 0.7634
O3 0.2366 0.0000 0.7366
O4 0.2366 0.5000 0.2366
O5 0.5000 0.2366 0.7366
O6 0.5000 0.7634 0.2634
O7 0.7634 0.0000 0.2634
O8 0.7634 0.5000 0.7634

**Final energy**: -9.53 eV/atom
**Formation energy**: -4114 meV/atom